Entry i
# SbP3CN3Cl15 (PBE-GGA, optimized geometry)
data_SbP3CN3Cl15
_symmetry_space_group_name_H-M 'P -1'
_symmetry_Int_Tables_number 2
_cell_length_a 9.385
_cell_length_b 10.839
_cell_length_c 13.401
_cell_angle_alpha 86.40
_cell_angle_beta 88.84
_cell_angle_gamma 75.92
loop_
_symmetry_equiv_pos_as_xyz
'x,y,z'
'-x,-y,-z'
loop_
_atom_site_label
_atom_site_type_symbol
_atom_site_fract_x
_atom_site_fract_y
_atom_site_fract_z
Sb1 Sb 0.188 0.248 0.190
P1 P 0.091 0.205 0.718
P2 P 0.286 0.710 0.494
P3 P 0.366 0.713 0.150
C1 C 0.193 0.738 0.311
N1 N 0.054 0.764 0.346
N2 N 0.218 0.736 0.212
N3 N 0.306 0.713 0.377
Cl1 Cl 0.080 0.692 0.809
Cl2 Cl 0.111 0.335 0.811
Cl3 Cl 0.136 0.039 0.797
Cl4 Cl 0.177 0.871 0.551
Cl5 Cl 0.184 0.081 0.321
Cl6 Cl 0.185 0.103 0.063
Cl7 Cl 0.186 0.396 0.321
Cl8 Cl 0.189 0.577 0.553
Cl9 Cl 0.193 0.416 0.064
Cl10 Cl 0.255 0.195 0.620
Cl11 Cl 0.311 0.737 0.007
Cl12 Cl 0.454 0.188 0.196
Cl13 Cl 0.482 0.672 0.557
Cl14 Cl 0.490 0.836 0.169
Cl15 Cl 0.499 0.459 0.830
# - crystal system = triclinic

***

Entry ii
# SbP3CN3Cl15 (PBE-GGA, optimized geometry)
data_SbP3CN3Cl15
_symmetry_space_group_name_H-M 'P -1'
_symmetry_Int_Tables_number 2
_cell_length_a 9.816
_cell_length_b 12.096
_cell_length_c 13.862
_cell_angle_alpha 84.28
_cell_angle_beta 87.91
_cell_angle_gamma 72.83
loop_
_symmetry_equiv_pos_as_xyz
'x,y,z'
'-x,-y,-z'
loop_
_atom_site_label
_atom_site_type_symbol
_atom_site_fract_x
_atom_site_fract_y
_atom_site_fract_z
Sb1 Sb 0.226 0.255 0.212
P1 P 0.092 0.221 0.710
P2 P 0.279 0.712 0.486
P3 P 0.370 0.696 0.166
C1 C 0.188 0.734 0.310
N1 N 0.053 0.763 0.343
N2 N 0.213 0.728 0.212
N3 N 0.297 0.711 0.371
Cl1 Cl 0.097 0.339 0.800
Cl2 Cl 0.132 0.646 0.818
Cl3 Cl 0.143 0.809 0.794
Cl4 Cl 0.147 0.967 0.088
Cl5 Cl 0.170 0.862 0.533
Cl6 Cl 0.174 0.068 0.787
Cl7 Cl 0.184 0.117 0.036
Cl8 Cl 0.189 0.594 0.550
Cl9 Cl 0.204 0.395 0.333
Cl10 Cl 0.204 0.407 0.058
Cl11 Cl 0.214 0.081 0.335
Cl12 Cl 0.236 0.225 0.607
Cl13 Cl 0.335 0.691 0.025
Cl14 Cl 0.471 0.671 0.543
Cl15 Cl 0.483 0.188 0.200
# - magnetic moment (μB/f.u.) = 0.001
# - crystal system = triclinic

***

Stability verdict: entry i, ahead by 18.1 kJ/mol of atoms

***

Entry i
# SnCSN2Cl2 (PBE-GGA, optimized geometry)
data_SnCSN2Cl2
_symmetry_space_group_name_H-M 'P 1 21/c 1'
_symmetry_Int_Tables_number 14
_cell_length_a 6.019
_cell_length_b 15.397
_cell_length_c 8.650
_cell_angle_alpha 90.00
_cell_angle_beta 105.66
_cell_angle_gamma 90.00
loop_
_symmetry_equiv_pos_as_xyz
'x,y,z'
'-x,-y,-z'
'-x,y+1/2,-z+1/2'
'x,-y+1/2,z+1/2'
loop_
_atom_site_label
_atom_site_type_symbol
_atom_site_fract_x
_atom_site_fract_y
_atom_site_fract_z
Sn1 Sn 0.105 0.244 0.371
C1 C 0.272 0.051 0.697
S1 S 0.040 0.104 0.617
N1 N 0.385 0.518 0.290
N2 N 0.491 0.537 0.766
Cl1 Cl 0.111 0.138 0.082
Cl2 Cl 0.470 0.736 0.053
# - magnetic moment (μB/f.u.) = 0.000
# - crystal system = monoclinic

***

Entry ii
# SnCSN2Cl2 (PBE-GGA, optimized geometry)
data_SnCSN2Cl2
_symmetry_space_group_name_H-M 'P 1 21/c 1'
_symmetry_Int_Tables_number 14
_cell_length_a 6.983
_cell_length_b 15.761
_cell_length_c 7.050
_cell_angle_alpha 90.00
_cell_angle_beta 107.05
_cell_angle_gamma 90.00
loop_
_symmetry_equiv_pos_as_xyz
'x,y,z'
'-x,-y,-z'
'-x,y+1/2,-z+1/2'
'x,-y+1/2,z+1/2'
loop_
_atom_site_label
_atom_site_type_symbol
_atom_site_fract_x
_atom_site_fract_y
_atom_site_fract_z
Sn1 Sn 0.156 0.241 0.342
C1 C 0.415 0.018 0.743
S1 S 0.015 0.162 0.566
N1 N 0.269 0.516 0.279
N2 N 0.439 0.551 0.792
Cl1 Cl 0.128 0.124 0.093
Cl2 Cl 0.494 0.748 0.047
# - magnetic moment (μB/f.u.) = 2.002
# - crystal system = monoclinic

***

Stability verdict: entry ii, ahead by 3.2 kJ/mol of atoms

***

Entry i
# SnCNCl3 (PBE-GGA, optimized geometry)
data_SnCNCl3
_symmetry_space_group_name_H-M 'P 1 c 1'
_symmetry_Int_Tables_number 7
_cell_length_a 5.401
_cell_length_b 8.618
_cell_length_c 8.464
_cell_angle_alpha 90.00
_cell_angle_beta 95.79
_cell_angle_gamma 90.00
loop_
_symmetry_equiv_pos_as_xyz
'x,y,z'
'x,-y,z+1/2'
loop_
_atom_site_label
_atom_site_type_symbol
_atom_site_fract_x
_atom_site_fract_y
_atom_site_fract_z
Sn1 Sn 0.000 0.187 0.000
C1 C 0.737 0.332 0.572
N1 N 0.571 0.263 0.505
Cl1 Cl 0.000 0.011 0.259
Cl2 Cl 0.544 0.272 0.978
Cl3 Cl 0.972 0.424 0.664
# - magnetic moment (μB/f.u.) = 0.000
# - crystal system = monoclinic

***

Entry ii
# SnCNCl3 (PBE-GGA, optimized geometry)
data_SnCNCl3
_symmetry_space_group_name_H-M 'P 1 c 1'
_symmetry_Int_Tables_number 7
_cell_length_a 5.287
_cell_length_b 9.006
_cell_length_c 8.392
_cell_angle_alpha 90.00
_cell_angle_beta 90.02
_cell_angle_gamma 90.00
loop_
_symmetry_equiv_pos_as_xyz
'x,y,z'
'x,-y,z+1/2'
loop_
_atom_site_label
_atom_site_type_symbol
_atom_site_fract_x
_atom_site_fract_y
_atom_site_fract_z
Sn1 Sn 0.000 0.178 0.000
C1 C 0.697 0.333 0.427
N1 N 0.532 0.270 0.492
Cl1 Cl 0.016 0.013 0.741
Cl2 Cl 0.461 0.274 0.005
Cl3 Cl 0.931 0.417 0.341
# - magnetic moment (μB/f.u.) = 0.000
# - crystal system = monoclinic

***

Stability verdict: entry ii, ahead by 1.2 kJ/mol of atoms

***

Entry i
# ZrC8N2Cl6 (PBE-GGA, optimized geometry)
data_ZrC8N2Cl6
_symmetry_space_group_name_H-M 'R 3 m'
_symmetry_Int_Tables_number 160
_symmetry_space_group_name_Hall 'R 3 -2"'
_cell_length_a 7.4745
_cell_length_b 7.4745
_cell_length_c 20.3788
_cell_angle_alpha 90.00
_cell_angle_beta 90.00
_cell_angle_gamma 120.00
loop_
_atom_site_label
_atom_site_type_symbol
_atom_site_fract_x
_atom_site_fract_y
_atom_site_fract_z
Zr1 Zr 0.0000 0.0000 0.0000
C1 C 0.0000 0.0000 0.3087
C2 C 0.0000 0.0000 0.7069
C3 C 0.0806 0.1612 0.2561
C4 C 0.1892 0.0946 0.7491
N1 N 0.0000 0.0000 0.2045
N2 N 0.0000 0.0000 0.7933
Cl1 Cl 0.0214 0.5107 0.7403
Cl2 Cl 0.1768 0.3536 0.5966
# - crystal system = trigonal

***

Entry ii
# ZrC8N2Cl6 (PBE-GGA, optimized geometry)
data_ZrC8N2Cl6
_symmetry_space_group_name_H-M 'F m -3 m'
_symmetry_Int_Tables_number 225
_symmetry_space_group_name_Hall '-F 4 2 3'
_cell_length_a 11.109
_cell_length_b 11.109
_cell_length_c 11.109
_cell_angle_alpha 90.00
_cell_angle_beta 90.00
_cell_angle_gamma 90.00
loop_
_atom_site_label
_atom_site_type_symbol
_atom_site_fract_x
_atom_site_fract_y
_atom_site_fract_z
Zr1 Zr 0.000 0.000 0.000
C1 C 0.175 0.175 0.325
N1 N 0.250 0.250 0.250
Cl1 Cl 0.000 0.000 0.224
# - magnetic moment (μB/f.u.) = 0.003
# - crystal system = cubic

***

Stability verdict: entry i, ahead by 81.0 kJ/mol of atoms

***

Entry i
# Pb2CCl2O3 (PBE-GGA, optimized geometry)
data_Pb2CCl2O3
_symmetry_space_group_name_H-M 'P 4/m b m'
_symmetry_Int_Tables_number 127
_symmetry_space_group_name_Hall '-P 4 2ab'
_cell_length_a 8.268
_cell_length_b 8.268
_cell_length_c 9.028
_cell_angle_alpha 90.00
_cell_angle_beta 90.00
_cell_angle_gamma 90.00
loop_
_atom_site_label
_atom_site_type_symbol
_atom_site_fract_x
_atom_site_fract_y
_atom_site_fract_z
Pb1 Pb 0.167 0.333 0.241
C1 C 0.177 0.677 0.500
Cl1 Cl 0.000 0.000 0.255
Cl2 Cl 0.148 0.648 0.000
O1 O 0.127 0.627 0.372
O2 O 0.211 0.289 0.500
# - magnetic moment (μB/f.u.) = 0.002
# - crystal system = tetragonal

***

Entry ii
# Pb2CCl2O3 (PBE-GGA, optimized geometry)
data_Pb2CCl2O3
_symmetry_space_group_name_H-M 'P 1'
_symmetry_Int_Tables_number 1
_cell_length_a 8.710
_cell_length_b 8.995
_cell_length_c 9.078
_cell_angle_alpha 88.05
_cell_angle_beta 89.13
_cell_angle_gamma 86.86
loop_
_symmetry_equiv_pos_as_xyz
'x,y,z'
loop_
_atom_site_label
_atom_site_type_symbol
_atom_site_fract_x
_atom_site_fract_y
_atom_site_fract_z
Pb1 Pb 0.000 0.000 0.000
Pb2 Pb 0.037 0.067 0.458
Pb3 Pb 0.219 0.542 0.597
Pb4 Pb 0.428 0.055 0.165
Pb5 Pb 0.485 0.602 0.222
Pb6 Pb 0.595 0.143 0.743
Pb7 Pb 0.679 0.627 0.648
Pb8 Pb 0.928 0.507 0.986
C1 C 0.103 0.293 0.155
C2 C 0.467 0.323 0.502
C3 C 0.633 0.334 0.006
C4 C 0.961 0.337 0.620
Cl1 Cl 0.169 0.831 0.206
Cl2 Cl 0.235 0.589 0.891
Cl3 Cl 0.302 0.026 0.877
Cl4 Cl 0.428 0.795 0.508
Cl5 Cl 0.637 0.821 0.011
Cl6 Cl 0.763 0.612 0.366
Cl7 Cl 0.814 0.072 0.249
Cl8 Cl 0.878 0.863 0.673
O1 O 0.048 0.261 0.024
O2 O 0.077 0.424 0.200
O3 O 0.106 0.298 0.594
O4 O 0.178 0.188 0.230
O5 O 0.405 0.410 0.400
O6 O 0.470 0.377 0.639
O7 O 0.512 0.257 0.008
O8 O 0.519 0.190 0.482
O9 O 0.661 0.428 0.107
O10 O 0.731 0.320 0.897
O11 O 0.857 0.247 0.586
O12 O 0.929 0.467 0.676
# - magnetic moment (μB/f.u.) = 0.000
# - crystal system = triclinic

***

Stability verdict: entry i, ahead by 5.1 kJ/mol of atoms